! Nb4B20Mo11, relaxed, DFT GGA-PBE; values from VASP
&SYSTEM
  ibrav = 0, nat = 35, ntyp = 3
/
ATOMIC_SPECIES
B 10.81 B.upf
Mo 95.94 Mo.upf
Nb 92.91 Nb.upf
CELL_PARAMETERS angstrom
0.000 0.000 3.104
3.207 0.000 0.000
-1.604 34.993 -1.552
ATOMIC_POSITIONS angstrom
B 1.604 29.894 1.552
Mo 1.604 18.401 1.552
B 0.000 34.088 1.552
Mo 1.604 9.593 1.552
B 1.604 12.110 1.552
Mo 0.000 25.400 0.000
Nb 0.000 13.997 1.552
Mo 0.000 2.556 0.000
Mo 1.604 23.594 1.552
B 0.000 21.922 1.552
B 1.604 15.885 1.552
B 0.000 20.069 1.552
B 0.000 33.106 0.000
B 1.604 0.904 0.000
Mo 1.604 4.398 1.552
B 1.604 13.071 0.000
Mo 0.000 16.592 0.000
B 0.000 6.070 1.552
B 1.604 1.887 1.552
B 1.604 27.070 0.000
B 1.604 26.107 1.552
Mo 0.000 30.595 0.000
Nb 0.000 27.996 1.552
B 0.000 22.883 0.000
Nb 1.604 20.996 0.000
B 0.000 7.923 1.552
B 1.604 14.924 0.000
B 1.604 28.923 0.000
B 0.000 19.108 0.000
Mo 0.000 11.399 0.000
B 0.000 5.099 0.000
B 0.000 8.886 0.000
Nb 1.604 6.997 0.000
Mo 1.604 32.437 1.552
Mo 0.000 0.000 1.552
! * space group: Immm
! * energy of formation from the pure elements: -0.5253 eV/atom
! * calculated volume: 10.0 Å³/atom
! * size of the total moment: 0.00 μB/cell
! * calculated total energy: -311.680 eV for the cell shown